Record 1
## EuMg3 (r2SCAN)

Data for an optimized crystal structure of EuMg3.

Values from the calculation:
Calculated formation energy in eV per formula unit: -0.253

Geometry as POSCAR:
```
EuMg3
1.0
2.4048 -4.6439 0.8466
-2.4284 -3.7635 2.8293
-1.7792 -4.3792 -2.3923
Eu Mg
1 3
direct
0.0000 0.0000 0.0000
0.7500 0.7500 0.7500
0.2500 0.2500 0.2500
0.5000 0.5000 0.5000
```


Record 2
## Eu3Mg (r2SCAN)

Data for an optimized crystal structure of Eu3Mg.

Values from the calculation:
Calculated formation energy in eV per formula unit: -0.112
E above lowest polymorph in kJ/mol of atoms: 1.57

Geometry as POSCAR:
```
Eu3Mg
1.0
3.7908 -6.5666 0.0000
3.7912 6.5668 0.0000
0.0000 0.0000 6.0385
Mg Eu
2 6
direct
0.6667 0.3333 0.2500
0.3333 0.6667 0.7500
0.8288 0.6578 0.7500
0.8288 0.1711 0.7500
0.3422 0.1711 0.7500
0.1712 0.8289 0.2500
0.6578 0.8289 0.2500
0.1712 0.3422 0.2500
```


Record 3
## Eu3Mg (r2SCAN)

Data for an optimized crystal structure of Eu3Mg.

Values from the calculation:
Calculated formation energy in eV per formula unit: -0.062
E above lowest polymorph in kJ/mol of atoms: 2.77

Geometry as POSCAR:
```
Eu3Mg
1.0
-3.3923 -2.0176 3.5359
4.0710 -1.6761 2.9493
-0.0045 4.6043 2.6229
Eu Mg
3 1
direct
0.5000 0.0000 0.5000
0.5000 0.5000 0.0000
0.0000 0.5000 0.5000
0.0000 0.0000 0.0000
```


Record 4
## EuMg5 (r2SCAN)

Data for an optimized crystal structure of EuMg5.

Values from the calculation:
Calculated formation energy in eV per formula unit: -0.183

Geometry as POSCAR:
```
EuMg5
1.0
1.5783 3.6152 4.5899
-4.6483 -3.8256 0.6215
3.1457 -3.5443 1.7100
Mg Eu
5 1
direct
0.3333 0.6667 0.5000
0.5494 0.0000 0.0000
0.0000 0.5494 0.0000
0.4506 0.4506 0.0000
0.6667 0.3333 0.5000
0.0000 0.0000 0.5000
```


Record 5
## EuMg2P2 (r2SCAN)

Data for an optimized crystal structure of EuMg2P2.

Values from the calculation:
Calculated formation energy in eV per formula unit: -5.712

Geometry as POSCAR:
```
EuMg2P2
1.0
-1.4192 2.9752 -2.7152
-2.5853 -1.5267 3.0370
2.1935 5.0820 4.4221
Mg Eu P
2 1 2
direct
0.3333 0.6667 0.6318
0.6667 0.3333 0.3682
0.0000 0.0000 0.0000
0.3333 0.6667 0.2596
0.6667 0.3333 0.7404
```


Record 6
## EuMgTl (r2SCAN)

Data for an optimized crystal structure of EuMgTl.

Values from the calculation:
Calculated formation energy in eV per formula unit: -1.147

Geometry as POSCAR:
```
EuMgTl
1.0
4.7659 -0.7822 0.9433
0.6357 -4.2746 -6.7564
2.0577 7.2435 -4.3892
Tl Eu Mg
4 4 4
direct
0.2500 0.2820 0.3914
0.7500 0.2180 0.8914
0.2500 0.7820 0.1086
0.7500 0.7180 0.6086
0.7500 0.9908 0.3094
0.7500 0.4908 0.1906
0.2500 0.5092 0.8094
0.2500 0.0092 0.6906
0.7500 0.3397 0.5682
0.7500 0.8397 0.9318
0.2500 0.6603 0.4318
0.2500 0.1603 0.0682
```